An optimized crystal structure of Nd2TlHg, computed with r²SCAN.

The calculation puts the energy at -40.892 eV per atom.

The space group is Fm-3m (No. 225) and the conventional cell measures 7.715, 7.715 and 7.715 Å, with angles of 90.00, 90.00 and 90.00 degrees. The asymmetric unit holds Nd at (0.250, 0.250, 0.250), Tl at (0.000, 0.000, 0.000) and Hg at (0.000, 0.000, 0.500).